No. 1
A plane-wave DFT calculation with GGA-PBE was carried out for an optimized crystal structure of TaO2.

Properties
The value obtained for the size of the total moment is 0.000 μB per atom. The MP2020-corrected energy comes out at -10.31 eV per atom. As for the total energy: -9.85 eV per atom. The calculation puts the formation energy at -9.17 eV/f.u.

Cell lengths 10.2276, 10.2276, 10.2276 Å; angles 94.97, 94.97, 145.75 degrees
Sites, in units of the cell vectors:
Ta 0.0895 0.0983 0.7381
Ta 0.1397 0.6486 0.2381
Ta 0.1486 0.4105 0.5088
Ta 0.1512 0.8937 0.9928
Ta 0.3416 0.3488 0.2424
Ta 0.3937 0.9009 0.7425
Ta 0.4009 0.1584 0.5072
Ta 0.4017 0.6397 0.9912
Ta 0.5983 0.3603 0.0088
Ta 0.5991 0.8416 0.4928
Ta 0.6063 0.0991 0.2576
Ta 0.6584 0.6512 0.7575
Ta 0.8488 0.1063 0.0072
Ta 0.8514 0.5895 0.4912
Ta 0.8603 0.3514 0.7619
Ta 0.9105 0.9017 0.2619
O 0.0214 0.8705 0.4037
O 0.0331 0.3822 0.9037
O 0.1112 0.9973 0.1394
O 0.1181 0.2314 0.3622
O 0.1178 0.5214 0.6509
O 0.1245 0.7249 0.8509
O 0.2249 0.8740 0.6005
O 0.2265 0.3755 0.1005
O 0.2560 0.6181 0.3867
O 0.2686 0.1308 0.8867
O 0.3579 0.9718 0.3606
O 0.3692 0.7560 0.1378
O 0.3705 0.4669 0.8491
O 0.3740 0.2735 0.6491
O 0.4718 0.6112 0.6139
O 0.4973 0.8579 0.8861
O 0.5027 0.1421 0.1139
O 0.5282 0.3888 0.3861
O 0.6260 0.7265 0.3509
O 0.6295 0.5331 0.1509
O 0.6308 0.2440 0.8622
O 0.6421 0.0282 0.6394
O 0.7314 0.8692 0.1133
O 0.7440 0.3819 0.6133
O 0.7735 0.6245 0.8995
O 0.7751 0.1260 0.3995
O 0.8755 0.2751 0.1491
O 0.8822 0.4786 0.3491
O 0.8819 0.7686 0.6378
O 0.8888 0.0027 0.8606
O 0.9669 0.6178 0.0963
O 0.9786 0.1295 0.5963



No. 2
A plane-wave DFT calculation with GGA-PBE was carried out for an optimized crystal structure of Mg14NbC.

Properties
The value obtained for the size of the total moment is 0.010 μB per atom. As for the total energy: -2.29 eV per atom. As for the energy above the most stable polymorph in this dataset: 0 meV per atom. The calculation puts the formation energy at 5.17 eV/f.u.

Cell lengths 6.2452, 6.2452, 9.7014 Å; angles 90.00, 90.00, 120.00 degrees
Sites, in units of the cell vectors:
Mg 0.0000 0.0000 0.2422
Mg 0.0000 0.0000 0.7578
Mg 0.0242 0.5121 0.2624
Mg 0.0242 0.5121 0.7376
Mg 0.3276 0.1638 0.5000
Mg 0.3427 0.1713 0.0000
Mg 0.4879 0.5121 0.2624
Mg 0.4879 0.5121 0.7376
Mg 0.4879 0.9758 0.2624
Mg 0.4879 0.9758 0.7376
Mg 0.8287 0.1713 0.0000
Mg 0.8287 0.6573 0.0000
Mg 0.8362 0.1638 0.5000
Mg 0.8362 0.6724 0.5000
Nb 0.3333 0.6667 0.0000
C 0.3333 0.6667 0.5000